1.
A geometry-optimized DyPS4 structure, computed with PBE.

Space-group type: No. 142
Calculated total energy in Ry per atom: -0.4010

The structure in POSCAR format:
```
DyPS4
1.0
10.704 3.815 -4.516
8.108 -6.415 6.528
-9.619 -4.276 -6.221
Dy P S
8 8 32
Direct
0.500 0.500 0.000
0.250 0.750 0.500
0.750 0.250 0.500
0.000 0.000 0.000
0.250 0.250 0.000
0.000 0.500 0.500
0.500 0.000 0.500
0.750 0.750 0.000
0.625 0.913 0.788
0.625 0.413 0.288
0.163 0.375 0.288
0.087 0.875 0.712
0.125 0.337 0.712
0.125 0.837 0.212
0.587 0.875 0.212
0.663 0.375 0.788
0.986 0.710 0.451
0.258 0.535 0.549
0.285 0.236 0.777
0.460 0.508 0.223
0.992 0.040 0.777
0.264 0.215 0.223
0.790 0.514 0.549
0.965 0.242 0.451
0.779 0.969 0.318
0.719 0.901 0.689
0.211 0.029 0.311
0.471 0.289 0.689
0.599 0.781 0.311
0.039 0.849 0.318
0.531 0.721 0.682
0.651 0.461 0.682
0.971 0.281 0.182
0.031 0.349 0.811
0.539 0.221 0.189
0.279 0.961 0.811
0.151 0.469 0.189
0.711 0.401 0.182
0.219 0.529 0.818
0.099 0.789 0.818
0.492 0.715 0.951
0.465 0.014 0.723
0.290 0.742 0.277
0.758 0.210 0.723
0.486 0.035 0.277
0.960 0.736 0.951
0.785 0.008 0.049
0.764 0.540 0.049
```

---

2.
A geometry-optimized Na4Ti3ZnP6O24 structure, computed with PBE.

Magnetization in Bohr magnetons per cell: 0.00
Space-group type: No. 1
Calculated total energy in Ry per atom: -0.5282

The structure in POSCAR format:
```
Na4Ti3ZnP6O24
1.0
-3.800 -6.670 -4.176
7.727 -1.145 3.946
-10.399 -5.778 18.687
Na Ti Zn P O
12 9 3 18 72
Direct
0.640 0.009 0.247
0.369 0.360 0.247
0.991 0.630 0.247
0.991 0.365 0.746
0.372 0.005 0.746
0.707 0.674 0.416
0.009 0.010 0.497
0.000 0.000 0.000
0.666 0.342 0.834
0.666 0.324 0.334
0.333 0.667 0.162
0.343 0.666 0.663
0.001 0.999 0.855
0.996 0.997 0.643
0.001 0.001 0.144
0.667 0.332 0.982
0.666 0.327 0.483
0.333 0.666 0.020
0.332 0.665 0.521
0.332 0.667 0.317
0.339 0.666 0.816
0.007 0.007 0.353
0.665 0.340 0.682
0.667 0.333 0.178
0.290 0.000 0.251
0.709 0.709 0.252
0.000 0.290 0.251
0.287 0.288 0.751
0.998 0.712 0.751
0.712 0.994 0.751
0.960 0.334 0.585
0.375 0.040 0.585
0.665 0.624 0.583
0.960 0.626 0.084
0.665 0.039 0.084
0.375 0.335 0.084
0.623 0.666 0.918
0.043 0.378 0.917
0.335 0.957 0.917
0.621 0.959 0.418
0.332 0.375 0.418
0.042 0.664 0.419
0.213 0.035 0.306
0.816 0.783 0.309
0.962 0.176 0.306
0.192 0.170 0.807
0.980 0.809 0.807
0.831 0.021 0.806
0.800 0.968 0.694
0.166 0.203 0.695
0.034 0.834 0.695
0.800 0.834 0.196
0.036 0.203 0.194
0.168 0.965 0.194
0.892 0.369 0.643
0.479 0.107 0.643
0.627 0.515 0.639
0.895 0.525 0.142
0.629 0.104 0.142
0.476 0.371 0.142
0.470 0.307 0.029
0.837 0.530 0.029
0.694 0.163 0.029
0.470 0.164 0.530
0.696 0.538 0.525
0.836 0.306 0.530
0.534 0.695 0.972
0.163 0.469 0.971
0.306 0.837 0.971
0.523 0.837 0.472
0.316 0.477 0.472
0.161 0.684 0.472
0.131 0.638 0.360
0.506 0.871 0.359
0.366 0.496 0.360
0.131 0.492 0.859
0.362 0.869 0.859
0.504 0.639 0.861
0.019 0.824 0.415
0.799 0.970 0.414
0.170 0.196 0.415
0.026 0.193 0.909
0.168 0.974 0.910
0.806 0.832 0.910
0.976 0.165 0.588
0.190 0.025 0.589
0.835 0.810 0.589
0.976 0.812 0.088
0.835 0.023 0.088
0.188 0.165 0.088
0.691 0.158 0.748
0.466 0.302 0.748
0.840 0.527 0.749
0.681 0.523 0.244
0.842 0.320 0.244
0.478 0.158 0.244
0.640 0.499 0.924
0.860 0.360 0.924
0.501 0.141 0.924
0.633 0.141 0.424
0.508 0.371 0.423
0.858 0.494 0.423
0.350 0.496 0.072
0.146 0.650 0.072
0.503 0.854 0.072
0.350 0.855 0.573
0.505 0.652 0.573
0.145 0.495 0.574
0.303 0.826 0.255
0.522 0.696 0.255
0.174 0.477 0.256
0.297 0.471 0.758
0.172 0.700 0.757
0.524 0.828 0.757
```

---

3.
A geometry-optimized Sm2TlZn structure, computed with PBE.

Space-group type: No. 225
Calculated total energy in Ry per atom: -0.2649

The structure in POSCAR format:
```
Sm2TlZn
1.0
3.620 -3.903 -0.439
-1.445 -5.083 0.782
-0.207 -3.383 -4.129
Sm Tl Zn
2 1 1
Direct
0.250 0.250 0.250
0.750 0.750 0.750
0.500 0.500 0.500
0.000 0.000 0.000
```

---

4.
A geometry-optimized La2Ni5B4 structure, computed with PBE.

Space-group type: No. 12
Calculated total energy in Ry per atom: -0.4726

The structure in POSCAR format:
```
La2Ni5B4
1.0
3.889 -3.366 -2.053
5.172 1.537 -1.247
5.243 -2.007 3.859
La Ni B
2 5 4
Direct
0.275 0.275 0.647
0.725 0.725 0.353
0.175 0.672 0.874
0.825 0.328 0.126
0.000 0.000 0.500
0.672 0.175 0.874
0.328 0.825 0.126
0.402 0.402 0.136
0.598 0.598 0.864
0.778 0.778 0.841
0.222 0.222 0.159
```

---

5.
A geometry-optimized LaCuO3 structure, computed with PBE.

Magnetization in Bohr magnetons per cell: 0.00
Space-group type: No. 221
Calculated total energy in Ry per atom: -0.4971

The structure in POSCAR format:
```
LaCuO3
1.0
3.872 0.000 0.000
0.000 3.872 0.000
0.000 0.000 3.872
La Cu O
1 1 3
Direct
0.500 0.500 0.500
0.000 0.000 0.000
0.500 0.000 0.000
0.000 0.500 0.000
0.000 0.000 0.500
```

---

6.
A geometry-optimized MgZrO3 structure, computed with PBE.

Magnetization in Bohr magnetons per cell: 0.00
Space-group type: No. 221
Calculated total energy in Ry per atom: -0.5460

The structure in POSCAR format:
```
MgZrO3
1.0
4.133 0.000 0.000
0.000 4.133 0.000
0.000 0.000 4.133
Mg Zr O
1 1 3
Direct
0.000 0.000 0.000
0.500 0.500 0.500
0.500 0.500 0.000
0.500 0.000 0.500
0.000 0.500 0.500
```

---

7.
A geometry-optimized Sr2LiTeO6 structure, computed with PBE.

Magnetization in Bohr magnetons per cell: 2.00
Space-group type: No. 14
Calculated total energy in Ry per atom: -0.4260

The structure in POSCAR format:
```
Sr2LiTeO6
1.0
-4.073 -3.992 0.553
4.084 -4.037 0.928
-0.430 1.373 7.871
Sr Li Te O
4 2 2 12
Direct
0.008 0.467 0.253
0.992 0.533 0.747
0.492 0.967 0.247
0.508 0.033 0.753
0.000 0.000 0.500
0.500 0.500 0.000
0.000 0.000 0.000
0.500 0.500 0.500
0.942 0.014 0.239
0.058 0.986 0.761
0.558 0.514 0.261
0.442 0.486 0.739
0.203 0.737 0.033
0.797 0.263 0.967
0.297 0.237 0.467
0.703 0.763 0.533
0.267 0.204 0.026
0.733 0.796 0.974
0.233 0.704 0.474
0.767 0.296 0.526
```

---

8.
A geometry-optimized Sr9ThCl22 structure, computed with PBE.

Magnetization in Bohr magnetons per cell: 0.01
Space-group type: No. 65
Calculated total energy in Ry per atom: -0.3161

The structure in POSCAR format:
```
Sr9ThCl22
1.0
3.512 -17.774 0.000
3.512 17.774 0.000
0.000 0.000 7.043
Sr Th Cl
9 1 22
Direct
0.500 0.500 0.500
0.400 0.600 0.000
0.300 0.700 0.500
0.200 0.800 0.000
0.900 0.100 0.500
0.800 0.200 0.000
0.100 0.900 0.500
0.700 0.300 0.500
0.600 0.400 0.000
0.000 0.000 0.000
0.101 0.401 0.251
0.599 0.899 0.749
0.500 0.000 0.250
0.286 0.179 0.767
0.401 0.101 0.749
0.000 0.500 0.750
0.179 0.286 0.233
0.286 0.179 0.233
0.821 0.714 0.233
0.500 0.500 0.000
0.899 0.599 0.251
0.179 0.286 0.767
0.101 0.401 0.749
0.821 0.714 0.767
0.714 0.821 0.767
0.000 0.500 0.250
0.714 0.821 0.233
0.000 0.000 0.500
0.599 0.899 0.251
0.500 0.000 0.750
0.401 0.101 0.251
0.899 0.599 0.749
```

---

9.
A geometry-optimized AlC3N3Cl6 structure, computed with PBE.

Magnetization in Bohr magnetons per cell: 0.00
Space-group type: No. 2
Calculated total energy in Ry per atom: -0.4144

The structure in POSCAR format:
```
AlC3N3Cl6
1.0
0.645 -1.152 7.341
6.640 -7.057 -2.183
8.319 14.095 1.509
Al C N Cl
4 12 12 24
Direct
0.552 0.826 0.586
0.946 0.170 0.148
0.448 0.174 0.414
0.054 0.830 0.852
0.499 0.297 0.605
0.762 0.298 0.535
0.738 0.675 0.061
0.261 0.300 0.070
0.262 0.325 0.939
0.238 0.683 0.326
0.501 0.703 0.395
0.998 0.295 0.999
0.238 0.702 0.465
0.002 0.705 0.001
0.739 0.700 0.930
0.762 0.317 0.674
0.584 0.319 0.679
0.420 0.733 0.472
0.580 0.267 0.528
0.079 0.267 0.066
0.082 0.322 0.934
0.918 0.678 0.066
0.857 0.320 0.606
0.143 0.680 0.394
0.356 0.327 0.008
0.644 0.673 0.992
0.416 0.681 0.321
0.921 0.733 0.934
0.767 0.960 0.563
0.631 0.688 0.838
0.369 0.312 0.162
0.622 0.669 0.149
0.125 0.037 0.184
0.378 0.331 0.851
0.377 0.960 0.672
0.228 0.696 0.000
0.635 0.645 0.619
0.275 0.312 0.608
0.623 0.040 0.328
0.365 0.355 0.381
0.734 0.034 0.076
0.122 0.684 0.237
0.725 0.688 0.392
0.233 0.040 0.437
0.131 0.687 0.552
0.878 0.316 0.763
0.863 0.352 0.242
0.869 0.313 0.448
0.266 0.966 0.924
0.772 0.304 0.000
0.875 0.963 0.816
0.137 0.648 0.758
```

---

10.
A geometry-optimized La5NiGe3 structure, computed with PBE.

Magnetization in Bohr magnetons per cell: 0.01
Space-group type: No. 193
Calculated total energy in Ry per atom: -0.4087

The structure in POSCAR format:
```
La5NiGe3
1.0
-2.272 5.696 6.730
-4.612 -7.767 -1.142
4.493 -3.301 4.311
La Ni Ge
10 2 6
Direct
0.250 0.000 0.250
0.750 0.000 0.750
0.000 0.250 0.250
0.000 0.750 0.750
0.750 0.750 0.250
0.250 0.250 0.750
0.333 0.667 0.000
0.667 0.333 0.000
0.667 0.333 0.500
0.333 0.667 0.500
0.000 0.000 0.000
0.000 0.000 0.500
0.602 0.000 0.250
0.398 0.000 0.750
0.000 0.602 0.250
0.000 0.398 0.750
0.398 0.398 0.250
0.602 0.602 0.750
```

---

11.
A geometry-optimized InPd3 structure, computed with PBE.

Space-group type: No. 139
Calculated total energy in Ry per atom: -0.3699

The structure in POSCAR format:
```
InPd3
1.0
4.133 0.000 0.000
0.000 4.133 0.000
-2.067 -2.067 7.742
In Pd
2 6
Direct
0.875 0.875 0.750
0.125 0.125 0.250
0.500 0.000 0.000
0.000 0.500 0.000
0.250 0.750 0.500
0.750 0.250 0.500
0.626 0.626 0.252
0.374 0.374 0.748
```

---

12.
A geometry-optimized CsBrF6 structure, computed with PBE.

Space-group type: No. 148
Calculated total energy in Ry per atom: -0.2409

The structure in POSCAR format:
```
CsBrF6
1.0
1.134 4.130 -3.283
-1.878 -3.324 -3.813
-4.803 1.823 1.652
Cs Br F
1 1 6
Direct
0.500 0.500 0.500
0.000 0.000 0.000
0.706 0.809 0.077
0.809 0.077 0.706
0.077 0.706 0.809
0.294 0.191 0.923
0.191 0.923 0.294
0.923 0.294 0.191
```

---

Number 1: calculated density 3.84 Mg/m³. Number 2: calculated density 2.96 Mg/m³. Number 3: calculated density 8.79 Mg/m³. Number 4: calculated density 7.27 Mg/m³. Number 5: calculated density 7.17 Mg/m³. Number 6: calculated density 3.85 Mg/m³. Number 7: calculated density 5.05 Mg/m³. Number 8: calculated density 3.40 Mg/m³. Number 9: calculated density 1.81 Mg/m³. Number 10: calculated density 6.38 Mg/m³. Number 11: calculated density 10.90 Mg/m³. Number 12: calculated density 3.53 Mg/m³.